No. 1
A plane-wave DFT calculation with GGA-PBE was carried out for a geometry-optimized Cs2Sr2C3O9 structure.

Lattice parameters (Å, degrees): 8.8114 8.8114 8.8114 109.47 109.47 109.47
Fractional coordinates of all 32 atoms:
Cs  0.8837  0.8837  0.8837
Cs  0.5000  0.0000  0.6163
Cs  0.6163  0.5000  0.0000
Cs  0.0000  0.6163  0.5000
Sr  0.4064  0.4064  0.4064
Sr  0.5000  0.0000  0.0936
Sr  0.0936  0.5000  0.0000
Sr  0.0000  0.0936  0.5000
C  0.5900  0.7500  0.3400
C  0.9100  0.2500  0.1600
C  0.3400  0.5900  0.7500
C  0.7500  0.3400  0.5900
C  0.2500  0.1600  0.9100
C  0.1600  0.9100  0.2500
O  0.4159  0.6444  0.2828
O  0.8616  0.1331  0.2172
O  0.0841  0.3669  0.2285
O  0.6384  0.8556  0.2715
O  0.2828  0.4159  0.6444
O  0.6444  0.2828  0.4159
O  0.2715  0.6384  0.8556
O  0.1331  0.2172  0.8616
O  0.2172  0.8616  0.1331
O  0.3669  0.2285  0.0841
O  0.2285  0.0841  0.3669
O  0.8556  0.2715  0.6384
O  0.7183  0.7500  0.4683
O  0.7817  0.2500  0.0317
O  0.4683  0.7183  0.7500
O  0.7500  0.4683  0.7183
O  0.2500  0.0317  0.7817
O  0.0317  0.7817  0.2500

Output
- Calculated volume: 16.46 A^3/atom

***

No. 2
A plane-wave DFT calculation with GGA-PBE was carried out for a geometry-optimized La3Si2S8I structure.

Lattice parameters (Å, degrees): 9.0372 9.0372 10.9876 82.89 82.89 52.42
Fractional coordinates of all 28 atoms:
La  0.5941  0.4059  0.2500
La  0.4059  0.5941  0.7500
La  0.9232  0.6810  0.1804
La  0.3190  0.0768  0.3196
La  0.0768  0.3190  0.8196
La  0.6810  0.9232  0.6804
Si  0.6967  0.6229  0.4698
Si  0.3033  0.3771  0.5302
Si  0.6229  0.6967  0.9698
Si  0.3771  0.3033  0.0302
S  0.5826  0.2792  0.5435
S  0.7208  0.4174  0.9565
S  0.4174  0.7208  0.4565
S  0.2792  0.5826  0.0435
S  0.4498  0.2497  0.8406
S  0.2497  0.4498  0.3406
S  0.7503  0.5502  0.6594
S  0.5502  0.7503  0.1594
S  0.5972  0.1128  0.1479
S  0.8872  0.4028  0.3521
S  0.4028  0.8872  0.8521
S  0.1128  0.5972  0.6479
S  0.1506  0.2884  0.0859
S  0.7116  0.8494  0.4141
S  0.8494  0.7116  0.9141
S  0.2884  0.1506  0.5859
I  0.9868  0.0132  0.7500
I  0.0132  0.9868  0.2500

Output
- Calculated volume: 25.16 A^3/atom

***

No. 3
A plane-wave DFT calculation with GGA-PBE was carried out for a geometry-optimized BaPrCuTe3 structure.

Lattice parameters (Å, degrees): 7.8925 7.8925 11.8153 90.00 90.00 146.67
Fractional coordinates of all 12 atoms:
Ba  0.2526  0.7474  0.2500
Ba  0.7474  0.2526  0.7500
Pr  0.0000  0.0000  0.0000
Pr  0.0000  0.0000  0.5000
Cu  0.5352  0.4648  0.2500
Cu  0.4648  0.5352  0.7500
Te  0.6401  0.3599  0.0679
Te  0.3599  0.6401  0.9321
Te  0.3599  0.6401  0.5679
Te  0.6401  0.3599  0.4321
Te  0.9296  0.0704  0.2500
Te  0.0704  0.9296  0.7500

Output
- Calculated volume: 33.70 A^3/atom

***

no.,spin magnetization (μB/f.u.),E_form (meV per atom)
1,0.001,-2462
2,0.000,-1859
3,0.001,-1459